<w>
Below is a relaxed structure of Li5FeS4, with properties calculated at the GGA-PBE level.

Geometry as extended XYZ:
```
80
Lattice="-3.722 10.484 2.740 -5.090 -4.240 9.310 9.302 1.763 5.889" Properties=species:S:1:pos:R:3 pbc="T T T"
Li -2.235 -1.171 6.896
Li 1.061 -1.419 12.319
Li 6.878 2.223 6.391
Li 0.856 0.200 5.954
Li -1.324 -1.723 10.466
Li 4.384 0.039 11.476
Li -4.030 -2.059 9.182
Li 1.931 -0.086 9.730
Li 2.433 1.735 3.853
Li 5.797 1.544 9.152
Li 2.508 1.520 14.355
Li -0.856 1.711 9.056
Li 3.669 4.309 5.670
Li -2.292 2.336 5.122
Li 0.241 3.156 6.532
Li 5.950 4.919 7.543
Li 3.335 2.913 11.780
Li -2.687 0.889 11.343
Li 2.592 3.557 8.411
Li -0.703 3.805 2.987
Li -2.102 4.449 9.528
Li 1.194 4.201 14.952
Li 3.177 7.116 6.596
Li -2.845 5.093 6.159
Li 0.249 4.850 11.407
Li -5.459 3.087 10.396
Li 2.783 5.670 12.817
Li -3.178 3.697 12.269
Li -2.017 6.486 3.584
Li 1.347 6.295 8.883
Li -5.306 6.462 8.787
Li -1.942 6.271 14.086
Li -1.441 8.092 8.209
Li 4.520 10.065 8.757
Li 1.815 9.729 7.473
Li -3.894 7.967 6.463
Li -0.365 7.806 11.985
Li -6.387 5.783 11.548
Li -0.570 9.425 5.620
Li 2.725 9.177 11.043
Fe -0.078 0.930 2.335
Fe 3.447 0.873 7.340
Fe -3.552 1.426 7.674
Fe -0.027 1.369 12.679
Fe 0.518 6.637 5.260
Fe 4.042 6.580 10.265
Fe -2.956 7.133 10.599
Fe 0.569 7.076 15.604
S 3.253 -0.120 5.289
S 7.947 0.797 8.155
S 2.094 0.711 1.607
S 4.301 -0.445 9.022
S 8.225 4.229 6.845
S 1.335 1.483 7.995
S 0.029 1.922 4.391
S 4.676 2.800 7.344
S -2.558 -0.080 9.077
S 2.089 0.798 12.030
S 5.661 2.162 11.514
S -1.229 -0.585 12.664
S -2.082 3.184 7.462
S 0.125 2.029 14.878
S -1.089 2.821 11.267
S 3.605 3.739 14.133
S -3.115 4.267 3.806
S 1.580 5.185 6.672
S 0.366 5.977 3.061
S 2.572 4.822 10.477
S -5.170 5.844 6.425
S 1.719 8.591 5.275
S -1.598 7.208 5.909
S 3.049 8.086 8.862
S -4.185 5.206 10.595
S 0.462 6.084 13.548
S -7.734 3.777 11.094
S -0.844 6.523 9.944
S -1.603 7.295 16.332
S -3.810 8.451 8.917
S -7.457 7.209 9.784
S -2.762 8.126 12.650
```

***

<x>
Below is a relaxed structure of Li5FeS4, with properties calculated at the GGA-PBE level.

Geometry as extended XYZ:
```
10
Lattice="-1.855 3.374 6.625 1.855 -3.374 6.625 1.855 3.374 -6.625" Properties=species:S:1:pos:R:3 pbc="T T T"
Li 0.000 1.469 2.337
Li 0.000 5.279 2.337
Li 1.855 -1.905 4.288
Li 1.855 1.905 4.288
Li 0.000 0.000 6.625
Fe 1.855 0.000 0.000
S 0.000 5.080 0.000
S 1.855 0.000 2.697
S 0.000 3.374 3.928
S 0.000 1.669 0.000
```

***

<y>
Below is a relaxed structure of Li5FeS4, with properties calculated at the GGA-PBE level.

Geometry as extended XYZ:
```
80
Lattice="11.266 0.000 0.000 0.000 6.403 0.000 0.000 0.000 19.411" Properties=species:S:1:pos:R:3 pbc="T T T"
Li 0.527 0.263 8.438
Li 0.527 2.938 18.143
Li 0.974 3.942 14.627
Li 0.974 5.662 4.921
Li 1.775 3.774 9.813
Li 1.775 5.830 0.108
Li 1.765 2.507 6.591
Li 1.765 0.694 16.296
Li 2.388 3.410 2.724
Li 2.388 6.194 12.429
Li 3.245 0.209 2.724
Li 3.245 2.993 12.429
Li 3.869 5.709 6.591
Li 3.869 3.896 16.296
Li 3.858 0.573 9.813
Li 3.858 2.629 0.108
Li 4.660 2.461 4.921
Li 4.660 0.741 14.627
Li 5.106 6.140 18.143
Li 5.106 3.465 8.438
Li 6.160 0.263 1.268
Li 6.160 2.938 10.973
Li 6.607 5.662 4.784
Li 6.607 3.942 14.489
Li 7.408 3.774 19.303
Li 7.408 5.830 9.598
Li 7.398 2.507 3.114
Li 7.398 0.694 12.820
Li 8.021 3.410 6.981
Li 8.021 6.194 16.687
Li 8.878 0.209 6.981
Li 8.878 2.993 16.687
Li 9.502 3.896 12.820
Li 9.502 5.709 3.114
Li 9.491 0.573 19.303
Li 9.491 2.629 9.598
Li 10.293 2.461 4.784
Li 10.293 0.741 14.489
Li 10.740 6.140 10.973
Li 10.740 3.465 1.268
Fe 0.483 1.043 2.452
Fe 0.483 2.159 12.157
Fe 5.151 4.244 2.452
Fe 5.151 5.360 12.157
Fe 6.116 2.159 16.959
Fe 6.116 1.043 7.254
Fe 10.784 4.244 7.254
Fe 10.784 5.360 16.959
S 0.670 5.198 2.405
S 0.670 4.406 12.110
S 1.553 1.244 10.376
S 1.553 1.958 0.671
S 1.560 1.689 4.323
S 1.560 1.512 14.028
S 1.696 4.849 7.333
S 1.696 4.755 17.038
S 3.937 1.554 17.038
S 3.937 1.648 7.333
S 4.073 4.891 4.323
S 4.073 4.714 14.028
S 4.080 5.159 0.671
S 4.080 4.445 10.376
S 4.963 1.997 2.405
S 4.963 1.205 12.110
S 6.304 4.406 17.006
S 6.304 5.198 7.300
S 7.186 1.244 18.740
S 7.186 1.958 9.034
S 7.193 1.689 5.382
S 7.193 1.512 15.087
S 7.329 4.849 2.372
S 7.329 4.755 12.077
S 9.571 1.554 12.077
S 9.571 1.648 2.372
S 9.707 4.891 5.382
S 9.707 4.714 15.087
S 9.713 5.159 9.034
S 9.713 4.445 18.740
S 10.596 1.997 7.300
S 10.596 1.205 17.006
```

***

Referenced to the most stable arrangement, the calculated values in eV/atom are <w> 0.000; <x> 0.106; <y> 0.034.

***

<w>
Below is a relaxed structure of Li5FeS4, with properties calculated at the GGA-PBE level.

Geometry as extended XYZ:
```
20
Lattice="-3.181 -1.134 -4.802 6.378 -2.823 -3.559 -1.644 -7.248 2.802" Properties=species:S:1:pos:R:3 pbc="T T T"
Li 2.730 -8.134 -1.706
Li -0.554 -6.681 0.127
Li 0.656 -2.315 -5.603
Li 3.676 -3.965 -3.317
Li 0.392 -2.511 -1.485
Li 1.888 -5.028 -5.422
Li -1.206 -3.659 -3.696
Li -1.470 -3.855 0.422
Li 1.189 -8.106 -4.232
Li -1.904 -6.737 -2.506
Fe -2.454 -0.875 -3.705
Fe 1.640 -5.295 -1.476
S -4.382 -6.630 -2.594
S 3.049 -2.766 -5.365
S -0.215 -1.321 -3.544
S -3.524 -2.850 -4.055
S 2.710 -3.319 -1.126
S 2.515 -6.227 -3.374
S -0.599 -4.849 -1.637
S 1.923 -6.787 0.215
```

***

<x>
Below is a relaxed structure of Li5FeS4, with properties calculated at the GGA-PBE level.

Geometry as extended XYZ:
```
10
Lattice="-1.861 3.375 6.676 1.861 -3.375 6.676 1.861 3.375 -6.676" Properties=species:S:1:pos:R:3 pbc="T T T"
Li 0.000 5.276 2.357
Li 0.000 1.474 2.357
Li 1.861 1.922 4.280
Li 1.861 -1.922 4.280
Li 0.000 0.000 6.624
Fe 0.000 3.375 6.614
S 1.861 -1.707 6.676
S 1.861 0.000 2.708
S 0.000 3.375 3.971
S 1.861 1.707 6.676
```

***

Referenced to the most stable arrangement, the calculated values in eV/atom are <w> 0.000; <x> 0.109.